w.
A relaxed structure of Na9Ta4Zn2Si6P3O36, computed with PBE-GGA.

Computed properties:
- Mass density: 3998 kg/m³

a b c (Å): 15.7506 27.0796 9.0288
angles (deg): 89.99 125.00 90.02
Sites, in units of the cell vectors:
Na  0.2581  0.2449  0.0302
Na  0.2511  0.5904  0.0210
Na  0.2610  0.9124  0.0281
Na  0.7508  0.2519  0.5045
Na  0.7457  0.5811  0.5015
Na  0.7594  0.9168  0.5242
Na  0.7511  0.0904  0.0210
Na  0.7610  0.4124  0.0281
Na  0.7581  0.7449  0.0302
Na  0.2457  0.0811  0.5015
Na  0.2594  0.4168  0.5242
Na  0.2508  0.7519  0.5045
Na  0.4850  0.0268  0.7154
Na  0.4904  0.3704  0.7494
Na  0.4849  0.6965  0.7226
Na  0.4891  0.2942  0.2544
Na  0.4986  0.6256  0.2668
Na  0.4999  0.9565  0.2780
Na  0.9849  0.1965  0.7226
Na  0.9850  0.5268  0.7154
Na  0.9904  0.8704  0.7494
Na  0.9986  0.1256  0.2668
Na  0.9999  0.4565  0.2780
Na  0.9891  0.7942  0.2544
Na  0.8168  0.9820  0.2120
Na  0.2087  0.3087  0.2950
Na  0.2003  0.9740  0.2756
Na  0.2013  0.3590  0.7879
Na  0.8201  0.0185  0.7176
Na  0.8146  0.6950  0.6813
Na  0.3168  0.4820  0.2120
Na  0.7003  0.4740  0.2756
Na  0.7087  0.8087  0.2950
Na  0.7013  0.8590  0.7879
Na  0.3146  0.1950  0.6813
Na  0.3201  0.5185  0.7176
Ta  0.1047  0.2499  0.5773
Ta  0.1064  0.5842  0.5682
Ta  0.1061  0.9158  0.5669
Ta  0.8912  0.2498  0.9333
Ta  0.8963  0.5827  0.9417
Ta  0.1056  0.0842  0.0596
Ta  0.1049  0.4172  0.0618
Ta  0.1058  0.7504  0.0620
Ta  0.6064  0.0842  0.5682
Ta  0.6061  0.4158  0.5669
Ta  0.6047  0.7499  0.5773
Ta  0.3963  0.0827  0.9417
Ta  0.3912  0.7498  0.9333
Ta  0.6058  0.2504  0.0620
Ta  0.6056  0.5842  0.0596
Ta  0.6049  0.9172  0.0618
Zn  0.8970  0.9158  0.9461
Zn  0.8954  0.0877  0.4393
Zn  0.9017  0.4171  0.4635
Zn  0.9001  0.7498  0.4444
Zn  0.3970  0.4158  0.9461
Zn  0.4001  0.2498  0.4444
Zn  0.3954  0.5877  0.4393
Zn  0.4017  0.9171  0.4635
Si  0.9948  0.3207  0.7433
Si  0.4948  0.8207  0.7433
Si  0.3529  0.2983  0.7542
Si  0.3527  0.6308  0.7524
Si  0.3508  0.9642  0.7474
Si  0.6405  0.2978  0.7321
Si  0.6459  0.6312  0.7366
Si  0.6462  0.9675  0.7406
Si  0.6472  0.0341  0.2483
Si  0.6425  0.7002  0.2469
Si  0.3532  0.0364  0.2563
Si  0.3498  0.3703  0.2485
Si  0.3527  0.7041  0.2573
Si  0.8527  0.1308  0.7524
Si  0.8508  0.4642  0.7474
Si  0.8529  0.7983  0.7542
Si  0.1459  0.1312  0.7366
Si  0.1462  0.4675  0.7406
Si  0.1405  0.7978  0.7321
Si  0.1425  0.2002  0.2469
Si  0.1472  0.5341  0.2483
Si  0.8527  0.2041  0.2573
Si  0.8532  0.5364  0.2563
Si  0.8498  0.8703  0.2485
P  0.0019  0.6535  0.7483
P  0.0025  0.9870  0.7408
P  0.0028  0.0124  0.2410
P  0.0024  0.3457  0.2494
P  0.0029  0.6804  0.2477
P  0.5019  0.1535  0.7483
P  0.5025  0.4870  0.7408
P  0.5029  0.1804  0.2477
P  0.5028  0.5124  0.2410
P  0.5024  0.8457  0.2494
P  0.6395  0.3661  0.2388
P  0.1395  0.8661  0.2388
O  0.1494  0.1929  0.7477
O  0.1462  0.5298  0.7458
O  0.1437  0.8597  0.7363
O  0.8452  0.1906  0.7767
O  0.8473  0.5250  0.7819
O  0.8412  0.8575  0.7548
O  0.8489  0.1452  0.2469
O  0.8423  0.4775  0.2411
O  0.8411  0.8111  0.2542
O  0.1424  0.1385  0.2385
O  0.1380  0.4728  0.2419
O  0.1460  0.8075  0.2474
O  0.6462  0.0298  0.7458
O  0.6437  0.3597  0.7363
O  0.6494  0.6929  0.7477
O  0.3473  0.0250  0.7819
O  0.3412  0.3575  0.7548
O  0.3452  0.6906  0.7767
O  0.3411  0.3111  0.2542
O  0.3489  0.6452  0.2469
O  0.3423  0.9775  0.2411
O  0.6460  0.3075  0.2474
O  0.6424  0.6385  0.2385
O  0.6380  0.9728  0.2419
O  0.4273  0.1829  0.5788
O  0.4356  0.5185  0.5742
O  0.4250  0.8522  0.5669
O  0.5641  0.1878  0.9187
O  0.5671  0.5203  0.9177
O  0.5703  0.8565  0.9271
O  0.5621  0.1453  0.4168
O  0.5657  0.4767  0.4102
O  0.5663  0.8123  0.4231
O  0.4484  0.1467  0.0775
O  0.4416  0.4829  0.0678
O  0.4509  0.8112  0.0829
O  0.9356  0.0185  0.5742
O  0.9250  0.3522  0.5669
O  0.9273  0.6829  0.5788
O  0.0671  0.0203  0.9177
O  0.0703  0.3565  0.9271
O  0.0641  0.6878  0.9187
O  0.0663  0.3123  0.4231
O  0.0621  0.6453  0.4168
O  0.0657  0.9767  0.4102
O  0.9509  0.3112  0.0829
O  0.9484  0.6467  0.0775
O  0.9416  0.9829  0.0678
O  0.2538  0.2722  0.7470
O  0.2540  0.6045  0.7399
O  0.2522  0.9378  0.7304
O  0.7507  0.2789  0.7720
O  0.7571  0.6157  0.7690
O  0.7466  0.9493  0.7519
O  0.7443  0.0513  0.2493
O  0.7320  0.3903  0.2574
O  0.7353  0.7256  0.2524
O  0.2520  0.0608  0.2398
O  0.2544  0.3975  0.2519
O  0.2513  0.7302  0.2367
O  0.7540  0.1045  0.7399
O  0.7522  0.4378  0.7304
O  0.7538  0.7722  0.7470
O  0.2571  0.1157  0.7690
O  0.2466  0.4493  0.7519
O  0.2507  0.7789  0.7720
O  0.2353  0.2256  0.2524
O  0.2443  0.5513  0.2493
O  0.2320  0.8904  0.2574
O  0.7513  0.2302  0.2367
O  0.7520  0.5608  0.2398
O  0.7544  0.8975  0.2519
O  0.3481  0.2800  0.5810
O  0.3584  0.6238  0.5843
O  0.3491  0.9641  0.5682
O  0.6300  0.2838  0.9041
O  0.6367  0.6161  0.9087
O  0.6438  0.9529  0.9232
O  0.6447  0.0495  0.4270
O  0.6337  0.3804  0.4047
O  0.6403  0.7138  0.4272
O  0.3577  0.0587  0.0900
O  0.3370  0.3889  0.0690
O  0.3571  0.7259  0.0917
O  0.8584  0.1238  0.5843
O  0.8491  0.4641  0.5682
O  0.8481  0.7800  0.5810
O  0.1367  0.1161  0.9087
O  0.1438  0.4529  0.9232
O  0.1300  0.7838  0.9041
O  0.1403  0.2138  0.4272
O  0.1447  0.5495  0.4270
O  0.1337  0.8804  0.4047
O  0.8571  0.2259  0.0917
O  0.8577  0.5587  0.0900
O  0.8370  0.8889  0.0690
O  0.4612  0.2740  0.9391
O  0.4602  0.6057  0.9351
O  0.4609  0.9416  0.9246
O  0.5439  0.2770  0.5464
O  0.5482  0.6110  0.5524
O  0.5403  0.9482  0.5642
O  0.5347  0.0548  0.0743
O  0.5389  0.3806  0.0628
O  0.5287  0.7175  0.0717
O  0.4626  0.0579  0.4396
O  0.4615  0.3929  0.4303
O  0.4615  0.7253  0.4451
O  0.9602  0.1057  0.9351
O  0.9609  0.4416  0.9246
O  0.9612  0.7740  0.9391
O  0.0482  0.1110  0.5524
O  0.0403  0.4482  0.5642
O  0.0439  0.7770  0.5464
O  0.0287  0.2175  0.0717
O  0.0347  0.5548  0.0743
O  0.0389  0.8806  0.0628
O  0.9615  0.2253  0.4451
O  0.9626  0.5579  0.4396
O  0.9615  0.8929  0.4303
O  0.0847  0.2878  0.7426
O  0.0824  0.6223  0.7430
O  0.0855  0.9552  0.7375
O  0.9276  0.2795  0.7702
O  0.9330  0.6165  0.7714
O  0.9333  0.9507  0.7574
O  0.9303  0.0469  0.2527
O  0.9250  0.3796  0.2438
O  0.9239  0.7132  0.2431
O  0.0907  0.0431  0.2478
O  0.0869  0.3767  0.2481
O  0.0853  0.7121  0.2458
O  0.5824  0.1223  0.7430
O  0.5855  0.4552  0.7375
O  0.5847  0.7878  0.7426
O  0.4330  0.1165  0.7714
O  0.4333  0.4507  0.7574
O  0.4276  0.7795  0.7702
O  0.4239  0.2132  0.2431
O  0.4303  0.5469  0.2527
O  0.4250  0.8796  0.2438
O  0.5853  0.2121  0.2458
O  0.5907  0.5431  0.2478
O  0.5869  0.8767  0.2481

x.
A relaxed structure of Na9Ta4Zn2Si6P3O36, computed with PBE-GGA.

Computed properties:
- Mass density: 3986 kg/m³

a b c (Å): 9.0577 27.0900 22.3296
angles (deg): 89.86 90.10 119.97
Sites, in units of the cell vectors:
Na  0.0166  0.9999  0.4938
Na  0.0056  0.3284  0.5025
Na  0.9968  0.6670  0.4994
Na  0.9863  0.0075  0.0006
Na  0.0190  0.3409  0.0012
Na  0.0037  0.6653  0.0092
Na  0.6813  0.1107  0.8291
Na  0.6462  0.4450  0.8449
Na  0.6834  0.7768  0.8253
Na  0.6592  0.1040  0.3234
Na  0.6702  0.4430  0.3393
Na  0.6680  0.7800  0.3337
Na  0.3240  0.2195  0.1639
Na  0.3182  0.5564  0.1710
Na  0.3410  0.8939  0.1612
Na  0.3194  0.2184  0.6701
Na  0.3442  0.5563  0.6726
Na  0.2932  0.8861  0.6589
Na  0.6241  0.6607  0.2553
Na  0.3813  0.1205  0.2441
Na  0.3620  0.4600  0.2586
Na  0.3495  0.7864  0.2395
Na  0.9874  0.2065  0.2438
Na  0.0235  0.5481  0.2511
Na  0.6044  0.2031  0.7480
Na  0.6194  0.5422  0.7609
Na  0.6215  0.8690  0.7418
Na  0.9932  0.1290  0.7494
Na  0.0196  0.4628  0.7573
Na  0.3880  0.0049  0.7411
Na  0.3738  0.3280  0.7590
Na  0.3882  0.6670  0.7495
Na  0.3119  0.7843  0.5760
Na  0.0162  0.5638  0.5753
Na  0.6714  0.3253  0.5756
Na  0.6533  0.9860  0.5752
Na  0.3110  0.3284  0.0723
Na  0.3065  0.9843  0.0737
Na  0.6634  0.2266  0.0893
Na  0.6842  0.5724  0.0899
Na  0.6542  0.9007  0.0721
Na  0.0601  0.7794  0.0839
Na  0.9557  0.5493  0.9265
Na  0.9873  0.8927  0.9208
Na  0.6968  0.3476  0.9239
Na  0.3440  0.1050  0.9096
Na  0.3287  0.7707  0.9242
Na  0.9708  0.0950  0.4086
Na  0.9478  0.4342  0.4242
Na  0.9929  0.7740  0.4266
Na  0.3108  0.0085  0.4150
Na  0.3498  0.3496  0.4272
Na  0.6971  0.5501  0.4269
Na  0.7097  0.8957  0.4085
Ta  0.9911  0.3331  0.3546
Ta  0.0093  0.6675  0.3523
Ta  0.9957  0.0002  0.8554
Ta  0.0090  0.3352  0.8559
Ta  0.9895  0.6639  0.8568
Ta  0.0028  0.9984  0.6427
Ta  0.0007  0.3322  0.6444
Ta  0.9998  0.6701  0.6439
Ta  0.9971  0.9998  0.1491
Ta  0.9933  0.3321  0.1460
Ta  0.6684  0.4445  0.6862
Ta  0.6677  0.4427  0.1849
Ta  0.6642  0.7755  0.1890
Ta  0.6726  0.1105  0.9808
Ta  0.6692  0.7790  0.9770
Ta  0.6669  0.1135  0.4828
Ta  0.6701  0.7781  0.4810
Ta  0.3324  0.2218  0.0167
Ta  0.3290  0.5551  0.0196
Ta  0.3356  0.2221  0.5235
Ta  0.3372  0.5565  0.5209
Ta  0.3399  0.2215  0.3126
Ta  0.3276  0.8897  0.3130
Ta  0.3312  0.8887  0.8122
Zn  0.9960  0.9956  0.3473
Zn  0.0112  0.6704  0.1484
Zn  0.6782  0.1134  0.6791
Zn  0.6665  0.7750  0.6878
Zn  0.6742  0.1156  0.1810
Zn  0.6495  0.4400  0.9877
Zn  0.6625  0.4427  0.4901
Zn  0.3274  0.8887  0.0113
Zn  0.3194  0.8870  0.5147
Zn  0.3394  0.5615  0.3176
Zn  0.3329  0.2192  0.8189
Zn  0.3383  0.5592  0.8150
Si  0.2894  0.3334  0.2504
Si  0.2903  0.6639  0.2454
Si  0.7038  0.2344  0.2494
Si  0.6989  0.9024  0.2519
Si  0.9953  0.4303  0.2512
Si  0.9976  0.7639  0.2475
Si  0.2946  0.4304  0.7501
Si  0.2863  0.7621  0.7514
Si  0.0018  0.5710  0.7490
Si  0.9996  0.9019  0.7501
Si  0.7104  0.0002  0.7479
Si  0.7096  0.3322  0.7497
Si  0.9596  0.1104  0.5862
Si  0.9594  0.4434  0.5801
Si  0.3725  0.3461  0.5817
Si  0.3771  0.6818  0.5880
Si  0.6652  0.2078  0.5901
Si  0.6635  0.5416  0.5816
Si  0.9637  0.2086  0.0865
Si  0.9586  0.8747  0.0833
Si  0.6678  0.3466  0.0780
Si  0.6670  0.6810  0.0837
Si  0.3744  0.1108  0.0852
Si  0.3740  0.4448  0.0844
Si  0.6316  0.2232  0.9149
Si  0.6248  0.8909  0.9189
Si  0.0393  0.1263  0.9099
Si  0.0411  0.7909  0.9202
Si  0.3326  0.6523  0.9117
Si  0.3390  0.9874  0.9179
Si  0.6260  0.3197  0.4185
Si  0.6302  0.6530  0.4142
Si  0.3395  0.1257  0.4166
Si  0.3397  0.7927  0.4184
Si  0.0466  0.2219  0.4164
Si  0.0422  0.8922  0.4199
P  0.2944  0.0002  0.2525
P  0.7146  0.5694  0.2467
P  0.0017  0.0966  0.2548
P  0.2829  0.0963  0.7491
P  0.9934  0.2366  0.7518
P  0.7141  0.6679  0.7497
P  0.9595  0.7800  0.5872
P  0.3737  0.0131  0.5863
P  0.6697  0.8748  0.5860
P  0.9583  0.5401  0.0788
P  0.6697  0.0160  0.0883
P  0.3770  0.7763  0.0836
P  0.6193  0.5534  0.9150
P  0.0457  0.4587  0.9120
P  0.3348  0.3212  0.9129
P  0.6182  0.9862  0.4204
P  0.3265  0.4591  0.4133
P  0.0394  0.5553  0.4124
O  0.2191  0.0085  0.3101
O  0.1990  0.3455  0.3084
O  0.1865  0.6704  0.3055
O  0.8298  0.2755  0.3045
O  0.8286  0.6004  0.3036
O  0.7998  0.9257  0.3128
O  0.0018  0.0666  0.3123
O  0.9809  0.3957  0.3144
O  0.9703  0.7204  0.3051
O  0.1829  0.0636  0.8068
O  0.1998  0.3923  0.8109
O  0.1695  0.7197  0.8072
O  0.9976  0.2736  0.8075
O  0.9728  0.5987  0.8109
O  0.9997  0.9405  0.8083
O  0.8284  0.0038  0.8062
O  0.8375  0.3419  0.8080
O  0.8106  0.6632  0.8061
O  0.8056  0.3274  0.6898
O  0.8246  0.6699  0.6945
O  0.8066  0.9914  0.6888
O  0.1725  0.0596  0.6942
O  0.1690  0.3914  0.6956
O  0.1803  0.7338  0.6882
O  0.9900  0.2710  0.6963
O  0.0109  0.6123  0.6924
O  0.0215  0.9425  0.6909
O  0.7993  0.2682  0.1877
O  0.7884  0.6043  0.1900
O  0.8052  0.9435  0.1938
O  0.0205  0.0630  0.1997
O  0.9977  0.3882  0.1985
O  0.0436  0.7433  0.1871
O  0.1663  0.3222  0.1920
O  0.1697  0.6536  0.1896
O  0.1717  0.9924  0.1971
O  0.8925  0.1208  0.6483
O  0.8648  0.4545  0.6387
O  0.8697  0.7824  0.6420
O  0.4726  0.0424  0.6432
O  0.5024  0.3808  0.6392
O  0.4681  0.7020  0.6509
O  0.6399  0.1753  0.6519
O  0.6414  0.5023  0.6417
O  0.6441  0.8396  0.6420
O  0.8997  0.1783  0.1498
O  0.8657  0.5025  0.1367
O  0.8379  0.8309  0.1372
O  0.6493  0.0457  0.1419
O  0.6427  0.3828  0.1343
O  0.6431  0.7078  0.1470
O  0.4920  0.1308  0.1442
O  0.4987  0.4574  0.1446
O  0.4760  0.7715  0.1391
O  0.4649  0.0978  0.0281
O  0.4420  0.4234  0.0304
O  0.4870  0.7821  0.0267
O  0.8259  0.1709  0.0338
O  0.8566  0.5104  0.0225
O  0.8479  0.8477  0.0211
O  0.6866  0.0500  0.0292
O  0.6968  0.3796  0.0166
O  0.6811  0.7255  0.0299
O  0.4680  0.0507  0.5290
O  0.4440  0.3810  0.5208
O  0.4873  0.7264  0.5329
O  0.6831  0.1717  0.5325
O  0.7133  0.5185  0.5232
O  0.6893  0.8445  0.5285
O  0.8279  0.0995  0.5288
O  0.8418  0.4274  0.5215
O  0.8573  0.7772  0.5283
O  0.5376  0.2355  0.9724
O  0.5197  0.5583  0.9704
O  0.5462  0.8987  0.9795
O  0.1774  0.1644  0.9635
O  0.1552  0.4903  0.9689
O  0.1529  0.8118  0.9805
O  0.3244  0.2858  0.9705
O  0.3062  0.6076  0.9672
O  0.2827  0.9474  0.9766
O  0.5367  0.2861  0.4801
O  0.5196  0.6084  0.4690
O  0.5446  0.9518  0.4776
O  0.3335  0.1668  0.4691
O  0.3048  0.4907  0.4687
O  0.2923  0.8135  0.4786
O  0.1776  0.2352  0.4721
O  0.1478  0.5597  0.4690
O  0.1596  0.9036  0.4769
O  0.1307  0.2098  0.3561
O  0.1198  0.5499  0.3548
O  0.1417  0.8823  0.3614
O  0.5013  0.2795  0.3623
O  0.5373  0.6317  0.3516
O  0.4988  0.9541  0.3651
O  0.3534  0.1604  0.3530
O  0.3348  0.4908  0.3558
O  0.3667  0.8349  0.3608
O  0.1042  0.1570  0.8467
O  0.1320  0.4916  0.8552
O  0.1436  0.8351  0.8639
O  0.3447  0.2914  0.8563
O  0.3632  0.6312  0.8491
O  0.3597  0.9551  0.8584
O  0.5148  0.2060  0.8558
O  0.5276  0.5494  0.8566
O  0.5043  0.8819  0.8598
O  0.0320  0.2798  0.4080
O  0.0221  0.6108  0.4124
O  0.0073  0.9445  0.4124
O  0.8171  0.3251  0.4137
O  0.8220  0.6579  0.4142
O  0.7988  0.9967  0.4119
O  0.1718  0.0641  0.4190
O  0.1613  0.3977  0.4157
O  0.1703  0.7292  0.4044
O  0.0297  0.0634  0.9132
O  0.0293  0.3975  0.9136
O  0.0127  0.7269  0.9072
O  0.1663  0.3250  0.9144
O  0.1532  0.6565  0.9137
O  0.1769  0.9992  0.9074
O  0.8188  0.2824  0.9112
O  0.8013  0.6102  0.9161
O  0.8241  0.9441  0.9114
O  0.9729  0.0511  0.5869
O  0.9872  0.3888  0.5915
O  0.9697  0.7224  0.5846
O  0.1934  0.0088  0.5863
O  0.1798  0.3351  0.5934
O  0.1824  0.6756  0.5848
O  0.8336  0.2729  0.5864
O  0.8295  0.6064  0.5920
O  0.8386  0.9351  0.5864
O  0.9840  0.2735  0.0839
O  0.9739  0.5985  0.0837
O  0.9668  0.9374  0.0917
O  0.8385  0.0112  0.0915
O  0.8262  0.3349  0.0906
O  0.8345  0.6746  0.0826
O  0.1855  0.0527  0.0930
O  0.1808  0.3907  0.0969
O  0.2018  0.7238  0.0770
O  0.6891  0.0556  0.7476
O  0.7034  0.3925  0.7440
O  0.6979  0.7202  0.7540
O  0.4554  0.0996  0.7527
O  0.4792  0.4315  0.7456
O  0.4709  0.7676  0.7539
O  0.8305  0.1793  0.7576
O  0.8242  0.5083  0.7434
O  0.8279  0.8422  0.7499
O  0.6871  0.1727  0.2555
O  0.7146  0.5107  0.2449
O  0.6636  0.8369  0.2385
O  0.8496  0.1056  0.2507
O  0.8221  0.4356  0.2432
O  0.8218  0.7682  0.2473
O  0.4696  0.0519  0.2426
O  0.4767  0.3915  0.2413
O  0.4757  0.7251  0.2470
O  0.6519  0.1674  0.9308
O  0.6546  0.5040  0.9220
O  0.6438  0.8327  0.9196
O  0.8515  0.1168  0.9276
O  0.8659  0.4505  0.9150
O  0.8536  0.7876  0.9220
O  0.5062  0.0514  0.9228
O  0.4930  0.3804  0.9159
O  0.4876  0.7176  0.9278
O  0.6229  0.0454  0.4219
O  0.6431  0.3815  0.4123
O  0.6641  0.7173  0.4309
O  0.5117  0.1198  0.4240
O  0.4859  0.4532  0.4179
O  0.5139  0.7875  0.4227
O  0.8614  0.1637  0.4273
O  0.8582  0.5037  0.4169
O  0.8549  0.8309  0.4235
O  0.3483  0.1659  0.0685
O  0.3654  0.5035  0.0752
O  0.3718  0.8316  0.0924
O  0.1560  0.2200  0.0705
O  0.1390  0.5443  0.0765
O  0.1447  0.8813  0.0850
O  0.4918  0.2832  0.0792
O  0.4945  0.6175  0.0718
O  0.5169  0.9551  0.0836
O  0.3623  0.2837  0.5823
O  0.3400  0.6170  0.5697
O  0.3584  0.9545  0.5827
O  0.5024  0.2176  0.5777
O  0.4908  0.5474  0.5752
O  0.5172  0.8846  0.5794
O  0.1488  0.1648  0.5717
O  0.1427  0.5029  0.5738
O  0.1451  0.8285  0.5829
O  0.3012  0.2752  0.2576
O  0.3247  0.6112  0.2515
O  0.3029  0.9437  0.2548
O  0.5157  0.2304  0.2523
O  0.5324  0.5576  0.2548
O  0.5049  0.8947  0.2535
O  0.1732  0.1572  0.2502
O  0.1626  0.4918  0.2473
O  0.1646  0.8262  0.2631
O  0.2925  0.1541  0.7438
O  0.3187  0.4931  0.7501
O  0.3044  0.8255  0.7587
O  0.1567  0.2335  0.7479
O  0.1675  0.5641  0.7471
O  0.1822  0.9019  0.7542
O  0.5218  0.2771  0.7542
O  0.5426  0.6121  0.7442
O  0.5246  0.9407  0.7546

x wins, 19 meV/atom ahead of the next structure.